Entry 1:
A plane-wave DFT calculation with GGA+U was carried out for a relaxed LiVBO3 crystal.

a = 4.621 Å, b = 8.541 Å, c = 6.321 Å
α = 101.34°, β = 94.04°, γ = 88.62°
Fractional positions:
Li 0.425 0.645 0.982
Li 0.925 0.145 0.482
Li 0.575 0.355 0.018
Li 0.075 0.855 0.518
V 0.448 0.996 0.247
V 0.052 0.504 0.253
V 0.947 0.496 0.747
V 0.553 0.004 0.753
B 0.872 0.823 0.079
B 0.372 0.323 0.579
B 0.128 0.177 0.921
B 0.628 0.677 0.421
O 0.016 0.677 0.037
O 0.516 0.177 0.537
O 0.984 0.323 0.963
O 0.484 0.823 0.463
O 0.603 0.838 0.970
O 0.103 0.338 0.470
O 0.397 0.162 0.030
O 0.897 0.662 0.530
O 0.464 0.450 0.744
O 0.964 0.950 0.244
O 0.536 0.550 0.256
O 0.036 0.050 0.756

Computed properties:
- calculated volume (Å³ per atom) = 10.17
- energy (eV/atom) = -7.26
- energy of formation from the pure elements (meV per atom) = -2471
- distance to the lowest polymorph of the same formula (kJ/mol of atoms) = 1.61
- size of the total moment (μB per atom) = 0.000

***

Entry 2:
A plane-wave DFT calculation with GGA+U was carried out for a relaxed Li2Fe2Si3O9 crystal.

a = 7.324 Å, b = 10.658 Å, c = 12.393 Å
α = 68.47°, β = 90.00°, γ = 90.00°
Fractional positions:
Li 0.040 0.953 0.635
Li 0.460 0.953 0.135
Li 0.925 0.536 0.655
Li 0.425 0.464 0.845
Li 0.575 0.536 0.155
Li 0.075 0.464 0.345
Li 0.540 0.047 0.865
Li 0.960 0.047 0.365
Fe 0.103 0.940 0.923
Fe 0.397 0.940 0.423
Fe 0.364 0.569 0.561
Fe 0.864 0.431 0.939
Fe 0.136 0.569 0.061
Fe 0.636 0.431 0.439
Fe 0.603 0.060 0.577
Fe 0.897 0.060 0.077
Si 0.457 0.769 0.937
Si 0.844 0.761 0.854
Si 0.525 0.742 0.705
Si 0.043 0.769 0.437
Si 0.656 0.761 0.354
Si 0.975 0.742 0.205
Si 0.025 0.258 0.795
Si 0.344 0.239 0.646
Si 0.957 0.231 0.563
Si 0.475 0.258 0.295
Si 0.156 0.239 0.146
Si 0.543 0.231 0.063
O 0.369 0.901 0.954
O 0.986 0.885 0.802
O 0.495 0.876 0.590
O 0.679 0.802 0.927
O 0.131 0.901 0.454
O 0.402 0.756 0.812
O 0.745 0.734 0.743
O 0.514 0.885 0.302
O 0.402 0.627 0.040
O 0.005 0.876 0.090
O 0.933 0.619 0.939
O 0.821 0.802 0.427
O 0.098 0.756 0.312
O 0.473 0.598 0.697
O 0.755 0.734 0.243
O 0.098 0.627 0.540
O 0.567 0.619 0.439
O 0.027 0.598 0.197
O 0.973 0.402 0.803
O 0.433 0.381 0.561
O 0.902 0.373 0.460
O 0.245 0.266 0.757
O 0.527 0.402 0.303
O 0.902 0.244 0.688
O 0.179 0.198 0.573
O 0.067 0.381 0.061
O 0.995 0.124 0.910
O 0.598 0.373 0.960
O 0.486 0.115 0.698
O 0.255 0.266 0.257
O 0.598 0.244 0.188
O 0.869 0.099 0.546
O 0.321 0.198 0.073
O 0.505 0.124 0.410
O 0.014 0.115 0.198
O 0.631 0.099 0.046

Computed properties:
- calculated volume (Å³ per atom) = 14.06
- energy (eV/atom) = -7.06
- SG = P2_1/c (14)
- energy of formation from the pure elements (meV per atom) = -2632
- distance to the lowest polymorph of the same formula (kJ/mol of atoms) = 1.92
- size of the total moment (μB per atom) = 0.500

***

Entry 3:
A plane-wave DFT calculation with GGA+U was carried out for a relaxed LiMn2C4O12 crystal.

a = 5.450 Å, b = 6.441 Å, c = 8.303 Å
α = 82.79°, β = 74.44°, γ = 65.40°
Fractional positions:
Li 0.276 0.485 0.159
Mn 0.612 0.513 0.513
Mn 0.911 0.991 0.999
C 0.334 0.619 0.791
C 0.890 0.112 0.715
C 0.720 0.885 0.281
C 0.770 0.377 0.206
O 0.191 0.673 0.944
O 0.695 0.070 0.826
O 0.234 0.583 0.679
O 0.592 0.592 0.744
O 0.107 0.070 0.773
O 0.874 0.185 0.568
O 0.629 0.823 0.426
O 0.970 0.889 0.231
O 0.528 0.433 0.317
O 0.963 0.403 0.245
O 0.586 0.950 0.163
O 0.780 0.311 0.062

Computed properties:
- calculated volume (Å³ per atom) = 13.44
- energy (eV/atom) = -7.32
- SG = P1 (1)
- energy of formation from the pure elements (meV per atom) = -1795
- distance to the lowest polymorph of the same formula (kJ/mol of atoms) = 1.98
- size of the total moment (μB per atom) = 0.368

***

Entry 4:
A plane-wave DFT calculation with GGA+U was carried out for a relaxed Li2Si2Ni3O8 crystal.

a = 5.001 Å, b = 8.696 Å, c = 13.223 Å
α = 109.17°, β = 100.07°, γ = 89.75°
Fractional positions:
Li 0.333 0.408 0.769
Li 0.294 0.055 0.690
Li 0.200 0.940 0.466
Li 0.376 0.762 0.853
Li 0.631 0.015 0.359
Li 0.489 0.873 0.092
Si 0.914 0.621 0.934
Si 0.442 0.142 0.939
Si 0.060 0.104 0.253
Si 0.218 0.663 0.598
Si 0.759 0.182 0.598
Si 0.526 0.644 0.281
Ni 0.982 0.992 0.001
Ni 0.220 0.276 0.500
Ni 0.994 0.741 0.186
Ni 0.060 0.485 0.343
Ni 0.904 0.245 0.843
Ni 0.442 0.512 0.030
Ni 0.508 0.263 0.192
Ni 0.765 0.557 0.686
Ni 0.680 0.817 0.532
O 0.540 0.035 0.587
O 0.565 0.341 0.610
O 0.663 0.587 0.830
O 0.548 0.699 0.619
O 0.588 0.981 0.960
O 0.295 0.127 0.360
O 0.525 0.190 0.838
O 0.121 0.493 0.495
O 0.829 0.953 0.227
O 0.077 0.820 0.570
O 0.144 0.636 0.708
O 0.886 0.267 0.264
O 0.761 0.653 0.041
O 0.851 0.630 0.274
O 0.113 0.097 0.907
O 0.908 0.127 0.490
O 0.013 0.228 0.703
O 0.107 0.461 0.917
O 0.133 0.775 0.961
O 0.513 0.301 0.052
O 0.476 0.801 0.383
O 0.362 0.671 0.167
O 0.410 0.474 0.289
O 0.229 0.070 0.149

Computed properties:
- calculated volume (Å³ per atom) = 11.87
- energy (eV/atom) = -6.11
- SG = P1 (1)
- energy of formation from the pure elements (meV per atom) = -2216
- size of the total moment (μB per atom) = 0.400

***

Entry 5:
A plane-wave DFT calculation with GGA+U was carried out for a relaxed FeOF crystal.

a = 3.088 Å, b = 9.554 Å, c = 14.262 Å
α = 89.68°, β = 90.00°, γ = 90.00°
Fractional positions:
Fe 0.000 0.999 0.986
Fe 0.000 0.500 0.997
Fe 0.500 0.219 0.828
Fe 0.500 0.743 0.849
Fe 0.000 0.005 0.659
Fe 0.000 0.497 0.656
Fe 0.500 0.750 0.520
Fe 0.500 0.250 0.516
Fe 0.000 0.994 0.327
Fe 0.000 0.497 0.323
Fe 0.500 0.278 0.160
Fe 0.500 0.751 0.183
O 0.500 0.900 0.938
O 0.000 0.158 0.902
O 0.000 0.644 0.902
O 0.500 0.092 0.729
O 0.500 0.405 0.604
O 0.500 0.902 0.603
O 0.000 0.152 0.556
O 0.000 0.651 0.566
O 0.500 0.401 0.268
O 0.500 0.912 0.268
O 0.000 0.656 0.232
O 0.000 0.354 0.095
F 0.500 0.406 0.933
F 0.000 0.351 0.770
F 0.000 0.834 0.773
F 0.500 0.595 0.736
F 0.000 0.352 0.433
F 0.000 0.852 0.433
F 0.500 0.102 0.392
F 0.500 0.596 0.398
F 0.000 0.158 0.229
F 0.000 0.848 0.104
F 0.500 0.097 0.069
F 0.500 0.600 0.064

Computed properties:
- calculated volume (Å³ per atom) = 11.69
- energy (eV/atom) = -6.01
- SG = Pm (6)
- energy of formation from the pure elements (meV per atom) = -2034
- size of the total moment (μB per atom) = 1.667

***

Entry 6:
A plane-wave DFT calculation with GGA+U was carried out for a relaxed La3Fe4AgO12 crystal.

a = 7.905 Å, b = 5.544 Å, c = 5.562 Å
α = 89.79°, β = 90.00°, γ = 90.00°
Fractional positions:
La 0.000 0.008 0.969
La 0.500 0.508 0.533
La 0.500 0.997 0.030
Fe 0.244 0.502 0.005
Fe 0.755 0.000 0.498
Fe 0.756 0.502 0.005
Fe 0.245 0.000 0.498
Ag 0.000 0.498 0.481
O 0.000 0.572 0.023
O 0.000 0.925 0.512
O 0.500 0.436 0.984
O 0.500 0.072 0.494
O 0.225 0.204 0.204
O 0.785 0.278 0.721
O 0.712 0.783 0.783
O 0.300 0.725 0.276
O 0.288 0.783 0.783
O 0.700 0.725 0.276
O 0.775 0.204 0.204
O 0.215 0.278 0.721

Computed properties:
- calculated volume (Å³ per atom) = 12.19
- energy (eV/atom) = -7.01
- SG = Pm (6)
- energy of formation from the pure elements (meV per atom) = -2333
- size of the total moment (μB per atom) = 0.900

***

Entry 7:
A plane-wave DFT calculation with GGA+U was carried out for a relaxed Li9Co7O16 crystal.

a = 5.816 Å, b = 5.854 Å, c = 8.229 Å
α = 90.67°, β = 90.20°, γ = 90.85°
Fractional positions:
Li 0.754 0.247 0.754
Li 0.000 0.500 0.000
Li 0.000 0.000 0.500
Li 0.246 0.247 0.756
Li 0.246 0.753 0.246
Li 0.500 0.000 0.500
Li 0.500 0.500 0.000
Li 0.754 0.753 0.244
Li 0.000 0.000 0.000
Co 0.755 0.758 0.756
Co 0.500 0.000 0.000
Co 0.245 0.242 0.244
Co 0.500 0.500 0.500
Co 0.248 0.756 0.754
Co 0.752 0.244 0.246
Co 0.000 0.500 0.500
O 0.500 0.520 0.734
O 0.726 0.772 0.992
O 0.748 0.256 0.489
O 0.011 0.518 0.747
O 0.998 0.020 0.252
O 0.255 0.273 0.494
O 0.269 0.765 0.988
O 0.511 0.013 0.235
O 0.002 0.980 0.748
O 0.274 0.228 0.008
O 0.252 0.744 0.511
O 0.489 0.987 0.765
O 0.500 0.480 0.266
O 0.745 0.727 0.506
O 0.731 0.235 0.012
O 0.989 0.482 0.253

Computed properties:
- calculated volume (Å³ per atom) = 8.75
- energy (eV/atom) = -5.58
- SG = P-1 (2)
- energy of formation from the pure elements (meV per atom) = -1715
- distance to the lowest polymorph of the same formula (kJ/mol of atoms) = 3.84
- size of the total moment (μB per atom) = 0.063

***

Entry 8:
A plane-wave DFT calculation with GGA+U was carried out for a relaxed LiMnSiO4 crystal.

a = 5.110 Å, b = 7.058 Å, c = 9.490 Å
α = 90.00°, β = 90.00°, γ = 90.00°
Fractional positions:
Li 0.248 0.531 0.182
Li 0.748 0.031 0.318
Li 0.248 0.969 0.682
Li 0.748 0.469 0.818
Mn 0.186 0.024 0.118
Mn 0.686 0.524 0.382
Mn 0.186 0.476 0.618
Mn 0.686 0.976 0.882
Si 0.762 0.739 0.091
Si 0.262 0.239 0.409
Si 0.762 0.761 0.591
Si 0.262 0.261 0.909
O 0.220 0.293 0.080
O 0.072 0.765 0.132
O 0.629 0.574 0.186
O 0.630 0.958 0.099
O 0.130 0.458 0.401
O 0.129 0.074 0.314
O 0.572 0.265 0.368
O 0.720 0.793 0.420
O 0.220 0.207 0.580
O 0.072 0.735 0.632
O 0.629 0.926 0.686
O 0.630 0.542 0.599
O 0.130 0.042 0.901
O 0.129 0.426 0.814
O 0.572 0.235 0.868
O 0.720 0.707 0.920

Computed properties:
- calculated volume (Å³ per atom) = 12.22
- energy (eV/atom) = -7.13
- SG = Pna2_1 (33)
- energy of formation from the pure elements (meV per atom) = -2578
- distance to the lowest polymorph of the same formula (kJ/mol of atoms) = 5.86
- size of the total moment (μB per atom) = 0.571

***

> Which value of energy does entry 8 give?

-7.13 eV/atom